No. 1
Entry from the Materials Project: a relaxed structure of Ag15Bi7I40 (PBE).

Results
Total energy after the MP2020 corrections, Ry/atom: -0.188
Spin magnetization, μB per formula unit: 6.2
Formation energy from the elements, meV per atom: -446

Cell: 14.537 4.552 73.686 Å, 90.00 90.40 90.00°
Space group Cm (No. 8)
Asymmetric unit:
Ag 0.000 0.000 0.000
Ag 0.006 0.500 0.502
Ag 0.058 0.000 0.552
Ag 0.079 0.000 0.825
Ag 0.108 0.500 0.602
Ag 0.135 0.500 0.876
Ag 0.158 0.000 0.652
Ag 0.209 0.500 0.702
Ag 0.261 0.000 0.752
Ag 0.268 0.500 0.255
Ag 0.304 0.500 0.800
Ag 0.354 0.000 0.852
Ag 0.366 0.500 0.355
Ag 0.403 0.500 0.900
Ag 0.464 0.500 0.456
Bi 0.054 0.500 0.049
Bi 0.103 0.000 0.101
Bi 0.163 0.500 0.153
Bi 0.211 0.000 0.206
Bi 0.307 0.000 0.303
Bi 0.406 0.000 0.403
Bi 0.458 0.000 0.952
I 0.003 0.000 0.866
I 0.019 0.000 0.139
I 0.031 0.500 0.639
I 0.043 0.500 0.915
I 0.044 0.000 0.415
I 0.069 0.500 0.190
I 0.082 0.000 0.689
I 0.085 0.500 0.466
I 0.097 0.000 0.964
I 0.121 0.000 0.240
I 0.134 0.000 0.517
I 0.134 0.500 0.738
I 0.144 0.500 0.014
I 0.167 0.500 0.290
I 0.178 0.000 0.791
I 0.184 0.500 0.566
I 0.197 0.000 0.064
I 0.219 0.500 0.840
I 0.223 0.000 0.339
I 0.234 0.000 0.616
I 0.247 0.500 0.116
I 0.268 0.500 0.390
I 0.274 0.000 0.889
I 0.283 0.500 0.666
I 0.305 0.000 0.165
I 0.321 0.500 0.940
I 0.323 0.000 0.440
I 0.336 0.000 0.714
I 0.347 0.500 0.215
I 0.375 0.000 0.991
I 0.377 0.500 0.491
I 0.383 0.500 0.764
I 0.390 0.000 0.263
I 0.419 0.500 0.040
I 0.433 0.000 0.539
I 0.445 0.000 0.817
I 0.445 0.500 0.314
I 0.461 0.000 0.089
I 0.482 0.500 0.588
I 0.489 0.000 0.363



No. 2
Entry from the Materials Project: a relaxed structure of K2AgBiI6 (PBE).

Results
Total energy after the MP2020 corrections, Ry/atom: -0.206
Spin magnetization, μB per formula unit: 0.0
Formation energy from the elements, meV per atom: -997

Cell: 12.155 12.155 12.155 Å, 90.00 90.00 90.00°
Space group Fm-3m (No. 225)
Asymmetric unit:
K 0.250 0.250 0.250
Ag 0.000 0.000 0.000
Bi 0.000 0.000 0.500
I 0.000 0.000 0.246